1.
As2O5 after structural relaxation, computed with r²SCAN.

Lattice parameters (Å, degrees): 8.618 8.618 4.634 90.00 90.00 90.00
Space group P4_32_12 (No. 96)
Symmetry-distinct sites (fractional):
As 0.098 0.098 0.000
As 0.216 0.784 0.250
O 0.024 0.755 0.324
O 0.056 0.944 0.750
O 0.155 0.264 0.230

2.
As2O5 after structural relaxation, computed with r²SCAN.

Lattice parameters (Å, degrees): 4.640 8.541 8.675 90.00 90.00 90.00
Space group P2_12_12_1 (No. 19)
Symmetry-distinct sites (fractional):
As 0.118 0.033 0.284
As 0.123 0.653 0.902
O 0.052 0.005 0.476
O 0.104 0.314 0.545
O 0.129 0.106 0.758
O 0.168 0.519 0.334
O 0.205 0.225 0.253

3.
As2O5 after structural relaxation, computed with r²SCAN.

Lattice parameters (Å, degrees): 8.619 8.619 4.634 90.00 90.00 90.00
Space group P4_12_12 (No. 92)
Symmetry-distinct sites (fractional):
As 0.098 0.098 0.000
As 0.216 0.784 0.750
O 0.024 0.755 0.676
O 0.056 0.944 0.250
O 0.155 0.264 0.770

4.
AsPO4 after structural relaxation, computed with r²SCAN.

Lattice parameters (Å, degrees): 8.415 5.012 7.350 90.00 90.00 90.00
Space group Pnma (No. 62)
Symmetry-distinct sites (fractional):
As 0.238 0.250 0.191
P 0.085 0.250 0.815
O 0.073 0.750 0.097
O 0.108 0.003 0.688
O 0.232 0.250 0.946

5.
As2PbO4 after structural relaxation, computed with r²SCAN.

Lattice parameters (Å, degrees): 7.091 11.879 6.184 90.00 112.62 90.00
Space group P2_1/c (No. 14)
Symmetry-distinct sites (fractional):
As 0.121 0.143 0.008
As 0.214 0.581 0.290
Pb 0.487 0.652 0.905
O 0.051 0.088 0.244
O 0.291 0.026 0.019
O 0.312 0.229 0.200
O 0.313 0.696 0.477

6.
As2Pb8O13 after structural relaxation, computed with r²SCAN.

Lattice parameters (Å, degrees): 10.864 10.502 14.722 90.00 98.28 90.00
Space group C2/m (No. 12)
Symmetry-distinct sites (fractional):
As 0.000 0.247 0.000
As 0.156 0.500 0.595
Pb 0.066 0.000 0.216
Pb 0.073 0.500 0.200
Pb 0.087 0.253 0.404
Pb 0.170 0.000 0.617
Pb 0.191 0.235 0.795
Pb 0.240 0.000 0.983
O 0.032 0.140 0.708
O 0.075 0.153 0.930
O 0.097 0.367 0.639
O 0.105 0.338 0.068
O 0.137 0.500 0.479
O 0.188 0.000 0.367
O 0.188 0.358 0.305
O 0.228 0.000 0.833

7.
Zn3TeAs2Pb3O14 after structural relaxation, computed with r²SCAN.

Lattice parameters (Å, degrees): 8.5537 8.5537 5.2505 90.00 90.00 120.00
Space group P321 (No. 150)
Symmetry-distinct sites (fractional):
Zn 0.0000 0.2412 0.0000
Te 0.0000 0.0000 0.5000
As 0.3333 0.6667 0.0449
Pb 0.0000 0.6002 0.5000
O 0.0888 0.8772 0.7113
O 0.1897 0.4604 0.1748
O 0.3333 0.6667 0.7242

8.
As2PdO6 after structural relaxation, computed with r²SCAN.

Lattice parameters (Å, degrees): 4.8477 4.8477 4.6760 90.00 90.00 120.00
Space group P-31m (No. 162)
Symmetry-distinct sites (fractional):
As 0.3333 0.6667 0.0000
Pd 0.0000 0.0000 0.5000
O 0.0000 0.3725 0.7827

Values of ΔH_f (0 K), in order: -1.2195 -1.2196 -1.2196 -1.8962 -1.3544 -1.3896 -1.4996 -1.1096, all in eV per atom.
Values of ρ, in order: 4.4 4.4 4.4 3.6 5.8 8.1 6.6 6.1, all in g/cm3.
Values of total moment, in order: 0.00 0.00 0.00 0.00 0.00 0.00 0.00 2.00, all in μB per formula unit.